# 1
Density functional theory data (GGA-PBE) for a relaxed Ca3Ag2Ge3O12 crystal.

The structure in CIF format:
```
data_Ca3Ag2Ge3O12
_chemical_formula_sum 'Ca12 Ag8 Ge12 O48'
_symmetry_space_group_name_H-M 'P 1'
_symmetry_Int_Tables_number 1
_symmetry_space_group_name_Hall 'P 1'
_cell_length_a 11.063
_cell_length_b 11.063
_cell_length_c 11.063
_cell_angle_alpha 109.47
_cell_angle_beta 109.47
_cell_angle_gamma 109.47
loop_
_atom_site_label
_atom_site_fract_x
_atom_site_fract_y
_atom_site_fract_z
Ag1 0.000 0.000 0.000
Ag2 0.500 0.500 0.500
Ag3 0.000 0.000 0.500
Ag4 0.500 0.000 0.500
Ag5 0.000 0.500 0.000
Ag6 0.500 0.000 0.000
Ag7 0.500 0.500 0.000
Ag8 0.000 0.500 0.500
O1 0.717 0.523 0.627
O2 0.910 0.283 0.306
O3 0.806 0.523 0.396
O4 0.410 0.104 0.627
O5 0.477 0.604 0.194
O6 0.306 0.896 0.023
O7 0.627 0.410 0.104
O8 0.194 0.477 0.604
O9 0.104 0.627 0.410
O10 0.090 0.873 0.396
O11 0.873 0.977 0.783
O12 0.477 0.373 0.283
O13 0.590 0.194 0.217
O14 0.896 0.023 0.306
O15 0.023 0.306 0.896
O16 0.127 0.023 0.217
O17 0.217 0.127 0.023
O18 0.283 0.477 0.373
O19 0.806 0.783 0.410
O20 0.090 0.717 0.694
O21 0.104 0.977 0.694
O22 0.023 0.217 0.127
O23 0.717 0.694 0.090
O24 0.523 0.627 0.717
O25 0.694 0.090 0.717
O26 0.873 0.396 0.090
O27 0.373 0.590 0.896
O28 0.523 0.396 0.806
O29 0.194 0.217 0.590
O30 0.604 0.194 0.477
O31 0.896 0.373 0.590
O32 0.783 0.873 0.977
O33 0.127 0.604 0.910
O34 0.410 0.806 0.783
O35 0.783 0.410 0.806
O36 0.396 0.090 0.873
O37 0.373 0.283 0.477
O38 0.396 0.806 0.523
O39 0.694 0.104 0.977
O40 0.217 0.590 0.194
O41 0.910 0.127 0.604
O42 0.627 0.717 0.523
O43 0.590 0.896 0.373
O44 0.977 0.694 0.104
O45 0.306 0.910 0.283
O46 0.977 0.783 0.873
O47 0.604 0.910 0.127
O48 0.283 0.306 0.910
Ca1 0.375 0.750 0.125
Ca2 0.125 0.375 0.750
Ca3 0.875 0.750 0.625
Ca4 0.250 0.375 0.125
Ca5 0.125 0.250 0.375
Ca6 0.625 0.875 0.750
Ca7 0.250 0.875 0.625
Ca8 0.750 0.625 0.875
Ca9 0.750 0.125 0.375
Ca10 0.375 0.125 0.250
Ca11 0.625 0.250 0.875
Ca12 0.875 0.625 0.250
Ge1 0.875 0.250 0.125
Ge2 0.125 0.875 0.250
Ge3 0.750 0.375 0.625
Ge4 0.250 0.625 0.375
Ge5 0.625 0.750 0.375
Ge6 0.750 0.875 0.125
Ge7 0.125 0.750 0.875
Ge8 0.625 0.375 0.250
Ge9 0.875 0.125 0.750
Ge10 0.250 0.125 0.875
Ge11 0.375 0.250 0.625
Ge12 0.375 0.625 0.750
```

# 2
Density functional theory data (GGA-PBE) for a relaxed RbNbTeO6 crystal.

The structure in CIF format:
```
data_RbNbTeO6
_chemical_formula_sum 'Rb2 Nb2 Te2 O12'
_symmetry_space_group_name_H-M 'P 1'
_symmetry_Int_Tables_number 1
_symmetry_space_group_name_Hall 'P 1'
_cell_length_a 7.385
_cell_length_b 7.385
_cell_length_c 7.385
_cell_angle_alpha 120.62
_cell_angle_beta 119.49
_cell_angle_gamma 89.91
loop_
_atom_site_label
_atom_site_fract_x
_atom_site_fract_y
_atom_site_fract_z
O1 0.309 0.176 0.741
O2 0.313 0.563 0.750
O3 0.687 0.437 0.250
O4 0.928 0.178 0.750
O5 0.065 0.824 0.633
O6 0.935 0.176 0.367
O7 0.691 0.432 0.867
O8 0.935 0.568 0.759
O9 0.065 0.432 0.241
O10 0.309 0.568 0.133
O11 0.691 0.824 0.259
O12 0.072 0.822 0.250
Rb1 0.625 0.875 0.750
Rb2 0.375 0.125 0.250
Nb1 0.000 0.500 0.500
Nb2 0.500 0.500 0.000
Te1 0.000 0.000 0.500
Te2 0.000 0.500 0.000
```

# 3
Density functional theory data (GGA-PBE) for a relaxed PrAu crystal.

The structure in CIF format:
```
data_PrAu
_chemical_formula_sum 'Pr2 Au2'
_symmetry_space_group_name_H-M 'P 1'
_symmetry_Int_Tables_number 1
_symmetry_space_group_name_Hall 'P 1'
_cell_length_a 6.055
_cell_length_b 6.055
_cell_length_c 4.845
_cell_angle_alpha 90.00
_cell_angle_beta 90.00
_cell_angle_gamma 142.12
loop_
_atom_site_label
_atom_site_fract_x
_atom_site_fract_y
_atom_site_fract_z
Au1 0.415 0.585 0.250
Au2 0.585 0.415 0.750
Pr1 0.862 0.138 0.750
Pr2 0.138 0.862 0.250
```

# 4
# CuH6C4O8 (GGA-PBE, optimized geometry)
# ΔE to the lowest computed polymorph   0.0 kJ per mole of atoms
data_CuH6C4O8
_chemical_formula_sum 'Cu4 H24 C16 O32'
_symmetry_space_group_name_H-M 'P 1'
_symmetry_Int_Tables_number 1
_symmetry_space_group_name_Hall 'P 1'
_cell_length_a 7.964
_cell_length_b 8.558
_cell_length_c 12.447
_cell_angle_alpha 90.00
_cell_angle_beta 90.00
_cell_angle_gamma 90.00
loop_
_atom_site_label
_atom_site_fract_x
_atom_site_fract_y
_atom_site_fract_z
O1 0.480 0.044 0.863
O2 0.400 0.700 0.956
O3 0.906 0.523 0.307
O4 0.406 0.523 0.193
O5 0.900 0.800 0.044
O6 0.783 0.394 0.544
O7 0.783 0.106 0.044
O8 0.217 0.894 0.956
O9 0.283 0.106 0.456
O10 0.094 0.023 0.193
O11 0.283 0.394 0.956
O12 0.094 0.477 0.693
O13 0.020 0.956 0.363
O14 0.594 0.023 0.307
O15 0.520 0.956 0.137
O16 0.717 0.606 0.044
O17 0.980 0.456 0.137
O18 0.100 0.300 0.456
O19 0.906 0.977 0.807
O20 0.217 0.606 0.456
O21 0.100 0.200 0.956
O22 0.020 0.544 0.863
O23 0.717 0.894 0.544
O24 0.600 0.200 0.544
O25 0.594 0.477 0.807
O26 0.900 0.700 0.544
O27 0.406 0.977 0.693
O28 0.400 0.800 0.456
O29 0.520 0.544 0.637
O30 0.600 0.300 0.044
O31 0.480 0.456 0.363
O32 0.980 0.044 0.637
H1 0.101 0.378 0.268
H2 0.399 0.878 0.268
H3 0.383 0.976 0.887
H4 0.101 0.122 0.768
H5 0.383 0.524 0.387
H6 0.601 0.378 0.232
H7 0.899 0.878 0.232
H8 0.617 0.024 0.113
H9 0.804 0.296 0.943
H10 0.804 0.204 0.443
H11 0.304 0.204 0.057
H12 0.117 0.476 0.887
H13 0.883 0.976 0.613
H14 0.196 0.704 0.057
H15 0.617 0.476 0.613
H16 0.883 0.524 0.113
H17 0.196 0.796 0.557
H18 0.304 0.296 0.557
H19 0.696 0.704 0.443
H20 0.601 0.122 0.732
H21 0.117 0.024 0.387
H22 0.399 0.622 0.768
H23 0.899 0.622 0.732
H24 0.696 0.796 0.943
C1 0.232 0.263 0.993
C2 0.732 0.237 0.007
C3 0.504 0.953 0.243
C4 0.996 0.453 0.243
C5 0.004 0.953 0.257
C6 0.232 0.237 0.493
C7 0.268 0.737 0.493
C8 0.732 0.263 0.507
C9 0.496 0.047 0.757
C10 0.496 0.453 0.257
C11 0.768 0.737 0.007
C12 0.768 0.763 0.507
C13 0.004 0.547 0.757
C14 0.996 0.047 0.743
C15 0.504 0.547 0.743
C16 0.268 0.763 0.993
Cu1 0.500 0.500 0.000
Cu2 0.500 0.000 0.500
Cu3 0.000 0.500 0.500
Cu4 0.000 0.000 0.000

# 5
Density functional theory data (GGA-PBE) for a relaxed Na4AlInSiP2O12 crystal.

The structure in CIF format:
```
data_Na4AlInSiP2O12
_chemical_formula_sum 'Na24 Al6 In6 Si6 P12 O72'
_symmetry_space_group_name_H-M 'P 1'
_symmetry_Int_Tables_number 1
_symmetry_space_group_name_Hall 'P 1'
_cell_length_a 8.995
_cell_length_b 8.999
_cell_length_c 21.937
_cell_angle_alpha 90.00
_cell_angle_beta 89.85
_cell_angle_gamma 120.09
loop_
_atom_site_label
_atom_site_fract_x
_atom_site_fract_y
_atom_site_fract_z
O1 0.022 0.827 0.691
O2 0.309 0.470 0.747
O3 0.816 0.049 0.808
O4 0.365 0.496 0.361
O5 0.499 0.357 0.420
O6 0.305 0.832 0.258
O7 0.497 0.143 0.643
O8 0.834 0.306 0.253
O9 0.508 0.162 0.920
O10 0.485 0.323 0.737
O11 0.371 0.894 0.854
O12 0.838 0.304 0.526
O13 0.828 0.518 0.736
O14 0.836 0.802 0.589
O15 0.503 0.864 0.360
O16 0.654 0.505 0.919
O17 0.173 0.967 0.194
O18 0.359 0.859 0.583
O19 0.888 0.518 0.146
O20 0.683 0.534 0.251
O21 0.650 0.507 0.640
O22 0.966 0.163 0.588
O23 0.795 0.826 0.194
O24 0.174 0.187 0.407
O25 0.858 0.356 0.920
O26 0.521 0.846 0.082
O27 0.825 0.805 0.308
O28 0.852 0.571 0.026
O29 0.628 0.107 0.142
O30 0.151 0.678 0.746
O31 0.160 0.662 0.085
O32 0.183 0.483 0.258
O33 0.176 0.194 0.691
O34 0.129 0.628 0.359
O35 0.292 0.439 0.474
O36 0.179 0.163 0.094
O37 0.237 0.191 0.805
O38 0.982 0.166 0.312
O39 0.809 0.830 0.913
O40 0.985 0.834 0.096
O41 0.709 0.141 0.028
O42 0.144 0.444 0.974
O43 0.013 0.186 0.913
O44 0.193 0.017 0.309
O45 0.567 0.851 0.473
O46 0.160 0.989 0.912
O47 0.034 0.197 0.192
O48 0.819 0.980 0.689
O49 0.841 0.022 0.095
O50 0.698 0.535 0.526
O51 0.689 0.180 0.738
O52 0.342 0.488 0.082
O53 0.864 0.357 0.640
O54 0.642 0.139 0.420
O55 0.434 0.290 0.029
O56 0.840 0.489 0.425
O57 0.521 0.633 0.858
O58 0.469 0.171 0.522
O59 0.955 0.763 0.805
O60 0.813 0.986 0.405
O61 0.462 0.158 0.250
O62 0.508 0.635 0.581
O63 0.148 0.722 0.477
O64 0.132 0.487 0.581
O65 0.475 0.360 0.143
O66 0.549 0.688 0.974
O67 0.006 0.837 0.405
O68 0.528 0.703 0.259
O69 0.180 0.028 0.590
O70 0.297 0.859 0.977
O71 0.522 0.832 0.744
O72 0.119 0.474 0.857
Si1 0.334 0.973 0.916
Si2 0.009 0.287 0.253
Si3 0.378 0.053 0.584
Si4 0.712 0.010 0.743
Si5 0.030 0.667 0.415
Si6 0.970 0.646 0.088
P1 0.280 0.992 0.252
P2 0.709 0.719 0.253
P3 0.989 0.699 0.744
P4 0.673 0.618 0.584
P5 0.035 0.367 0.915
P6 0.632 0.665 0.916
P7 0.358 0.325 0.087
P8 0.333 0.370 0.415
P9 0.947 0.326 0.584
P10 0.300 0.293 0.744
P11 0.629 0.960 0.414
P12 0.676 0.031 0.087
In1 0.329 0.670 0.016
In2 0.670 0.337 0.988
In3 0.330 0.673 0.515
In4 0.339 0.676 0.812
In5 0.999 0.000 0.844
In6 0.671 0.333 0.188
Na1 0.377 0.005 0.747
Na2 0.673 0.335 0.336
Na3 0.328 0.027 0.420
Na4 0.366 0.368 0.250
Na5 0.701 0.668 0.416
Na6 0.004 0.996 0.499
Na7 0.030 0.338 0.090
Na8 0.043 0.710 0.581
Na9 0.994 0.360 0.749
Na10 0.333 0.297 0.916
Na11 0.663 0.324 0.831
Na12 0.974 0.674 0.921
Na13 0.000 0.623 0.251
Na14 0.636 0.637 0.746
Na15 0.635 0.003 0.254
Na16 0.298 0.966 0.083
Na17 0.298 0.331 0.582
Na18 0.337 0.674 0.664
Na19 0.674 0.696 0.084
Na20 0.967 0.303 0.412
Na21 0.694 0.033 0.911
Na22 0.663 0.963 0.587
Na23 0.325 0.663 0.169
Na24 0.003 0.995 0.001
Al1 0.004 0.000 0.647
Al2 0.002 0.002 0.152
Al3 0.665 0.327 0.682
Al4 0.998 0.996 0.350
Al5 0.319 0.655 0.317
Al6 0.668 0.337 0.484
```

# 6
Density functional theory data (GGA-PBE) for a relaxed BaMgTiF7 crystal.

The structure in CIF format:
```
data_BaMgTiF7
_chemical_formula_sum 'Ba4 Mg4 Ti4 F28'
_symmetry_space_group_name_H-M 'P 1'
_symmetry_Int_Tables_number 1
_symmetry_space_group_name_Hall 'P 1'
_cell_length_a 10.017
_cell_length_b 5.713
_cell_length_c 9.685
_cell_angle_alpha 86.99
_cell_angle_beta 90.00
_cell_angle_gamma 90.00
loop_
_atom_site_label
_atom_site_fract_x
_atom_site_fract_y
_atom_site_fract_z
F1 0.541 0.612 0.375
F2 0.810 0.742 0.497
F3 0.946 0.374 0.628
F4 0.446 0.626 0.872
F5 0.551 0.121 0.875
F6 0.190 0.258 0.503
F7 0.784 0.973 0.750
F8 0.041 0.388 0.125
F9 0.949 0.121 0.375
F10 0.456 0.109 0.368
F11 0.054 0.626 0.372
F12 0.215 0.478 0.751
F13 0.716 0.973 0.250
F14 0.044 0.109 0.868
F15 0.216 0.027 0.250
F16 0.285 0.478 0.251
F17 0.310 0.258 0.003
F18 0.284 0.027 0.750
F19 0.449 0.879 0.125
F20 0.544 0.891 0.632
F21 0.690 0.742 0.997
F22 0.554 0.374 0.128
F23 0.459 0.388 0.625
F24 0.959 0.612 0.875
F25 0.785 0.522 0.249
F26 0.956 0.891 0.132
F27 0.051 0.879 0.625
F28 0.715 0.522 0.749
Mg1 0.395 0.307 0.810
Mg2 0.105 0.307 0.310
Mg3 0.605 0.693 0.190
Mg4 0.895 0.693 0.690
Ba1 0.818 0.268 0.001
Ba2 0.318 0.732 0.499
Ba3 0.182 0.732 0.999
Ba4 0.682 0.268 0.501
Ti1 0.610 0.806 0.812
Ti2 0.890 0.806 0.312
Ti3 0.110 0.194 0.688
Ti4 0.390 0.194 0.188
```

# 7
Density functional theory data (GGA-PBE) for a relaxed ZrHg crystal.

The structure in CIF format:
```
data_ZrHg
_chemical_formula_sum 'Zr1 Hg1'
_symmetry_space_group_name_H-M 'P 1'
_symmetry_Int_Tables_number 1
_symmetry_space_group_name_Hall 'P 1'
_cell_length_a 3.169
_cell_length_b 3.169
_cell_length_c 4.313
_cell_angle_alpha 90.00
_cell_angle_beta 90.00
_cell_angle_gamma 90.00
loop_
_atom_site_label
_atom_site_fract_x
_atom_site_fract_y
_atom_site_fract_z
Zr1 0.500 0.500 0.500
Hg1 0.000 0.000 0.000
```

# 8
Density functional theory data (GGA-PBE) for a relaxed Tb5Ni2Bi crystal.

The structure in CIF format:
```
data_Tb5Ni2Bi
_chemical_formula_sum 'Tb10 Ni4 Bi2'
_symmetry_space_group_name_H-M 'P 1'
_symmetry_Int_Tables_number 1
_symmetry_space_group_name_Hall 'P 1'
_cell_length_a 8.725
_cell_length_b 8.725
_cell_length_c 8.725
_cell_angle_alpha 127.54
_cell_angle_beta 127.54
_cell_angle_gamma 77.37
loop_
_atom_site_label
_atom_site_fract_x
_atom_site_fract_y
_atom_site_fract_z
Ni1 0.367 0.133 0.500
Ni2 0.133 0.633 0.766
Ni3 0.633 0.867 0.500
Ni4 0.867 0.367 0.234
Tb1 0.290 0.477 0.500
Tb2 0.000 0.000 0.000
Tb3 0.790 0.290 0.813
Tb4 0.710 0.523 0.500
Tb5 0.023 0.210 0.500
Tb6 0.500 0.500 0.000
Tb7 0.477 0.977 0.187
Tb8 0.523 0.023 0.813
Tb9 0.977 0.790 0.500
Tb10 0.210 0.710 0.187
Bi1 0.750 0.750 0.000
Bi2 0.250 0.250 0.000
```

# 9
Density functional theory data (GGA-PBE) for a relaxed Cr5InS8 crystal.

The structure in CIF format:
```
data_Cr5InS8
_chemical_formula_sum 'Cr5 In1 S8'
_symmetry_space_group_name_H-M 'P 1'
_symmetry_Int_Tables_number 1
_symmetry_space_group_name_Hall 'P 1'
_cell_length_a 9.205
_cell_length_b 9.205
_cell_length_c 8.674
_cell_angle_alpha 75.21
_cell_angle_beta 75.21
_cell_angle_gamma 21.80
loop_
_atom_site_label
_atom_site_fract_x
_atom_site_fract_y
_atom_site_fract_z
Cr1 0.501 0.501 0.500
Cr2 0.796 0.796 0.834
Cr3 0.203 0.203 0.165
Cr4 0.841 0.841 0.474
Cr5 0.158 0.158 0.527
S1 0.262 0.262 0.656
S2 0.415 0.415 0.327
S3 0.924 0.924 0.650
S4 0.737 0.737 0.345
S5 0.076 0.076 0.350
S6 0.328 0.328 0.989
S7 0.672 0.672 0.010
S8 0.585 0.585 0.674
In1 0.982 0.982 0.008
```

Energy, record by record: -5.93, -6.71, -4.82, -6.16, -6.46, -6.01, -4.60, -5.28, -6.67 eV/atom
Formation energy, record by record: -2.10, -2.29, -0.79, -1.13, -2.69, -3.85, -0.17, -0.45, -0.95 eV per atom